1.
The following is a DFT calculation (PBE-GGA) of a relaxed BaCaO2 crystal.

a = 3.7641 Å, b = 6.3244 Å, c = 12.2617 Å
α = 90.00°, β = 90.00°, γ = 90.00°
Closest atoms and distances in Å follow each position.
Positions (direct):
Ba (0.2500, 0.5936, 0.6422)  7 O 2.76-2.98
Ba (0.2500, 0.0936, 0.8578)  7 O 2.76-2.98
Ba (0.7500, 0.4064, 0.3578)  7 O 2.76-2.98
Ba (0.7500, 0.9064, 0.1422)  7 O 2.76-2.98
Ca (0.2500, 0.9090, 0.3927)  5 O 2.31-2.48
Ca (0.2500, 0.4090, 0.1073)  5 O 2.31-2.48
Ca (0.7500, 0.5910, 0.8927)  5 O 2.31-2.48
Ca (0.7500, 0.0910, 0.6073)  5 O 2.31-2.48
O (0.2500, 0.2159, 0.5183)  3 Ca 2.31-2.48
O (0.2500, 0.7159, 0.9817)  3 Ca 2.31-2.48
O (0.2500, 0.6512, 0.2523)  2 Ca 2.35-2.37
O (0.2500, 0.1512, 0.2477)  2 Ca 2.35-2.37
O (0.7500, 0.8488, 0.7523)  2 Ca 2.35-2.37
O (0.7500, 0.3488, 0.7477)  2 Ca 2.35-2.37
O (0.7500, 0.7841, 0.4817)  3 Ca 2.31-2.48
O (0.7500, 0.2841, 0.0183)  3 Ca 2.31-2.48

=====

2.
The following is a DFT calculation (PBE-GGA) of a relaxed Ba2CaOsO6 crystal.

a = 5.9757 Å, b = 5.9757 Å, c = 5.9757 Å
α = 60.00°, β = 60.00°, γ = 60.00°
Closest atoms and distances in Å follow each position.
Positions (direct):
Ba (0.2500, 0.2500, 0.2500)  12 O 2.99
Ba (0.7500, 0.7500, 0.7500)  12 O 2.99
Ca (0.5000, 0.5000, 0.5000)  6 O 2.28
Os (0.0000, 0.0000, 0.0000)  6 O 1.94
O (0.7703, 0.2297, 0.2297)  1 Os 1.94
O (0.7703, 0.2297, 0.7703)  1 Os 1.94
O (0.7703, 0.7703, 0.2297)  1 Os 1.94
O (0.2297, 0.7703, 0.7703)  1 Os 1.94
O (0.2297, 0.7703, 0.2297)  1 Os 1.94
O (0.2297, 0.2297, 0.7703)  1 Os 1.94

=====

3.
The following is a DFT calculation (PBE-GGA) of a relaxed Ba2CaP4O16 crystal.

a = 10.6174 Å, b = 5.4817 Å, c = 12.8777 Å
α = 79.75°, β = 90.00°, γ = 90.00°
Closest atoms and distances in Å follow each position.
Positions (direct):
Ba (0.3459, 0.1359, 0.1686)  7 O 2.76-2.93
Ba (0.8459, 0.8641, 0.3314)  7 O 2.76-2.93
Ba (0.6541, 0.8641, 0.8314)  7 O 2.76-2.93
Ba (0.1541, 0.1359, 0.6686)  7 O 2.76-2.93
Ca (0.0000, 0.0000, 0.0000)  6 O 2.31-2.43
Ca (0.5000, 0.0000, 0.5000)  6 O 2.31-2.43
P (0.1910, 0.7628, 0.4475)  4 O 1.54-1.56
P (0.6910, 0.2372, 0.0525)  4 O 1.54-1.56
P (0.8090, 0.2372, 0.5525)  4 O 1.54-1.56
P (0.3090, 0.7628, 0.9475)  4 O 1.54-1.56
P (0.5144, 0.5845, 0.3000)  4 O 1.53-1.56
P (0.0144, 0.4155, 0.2000)  4 O 1.53-1.56
P (0.4856, 0.4155, 0.7000)  4 O 1.53-1.56
P (0.9856, 0.5845, 0.8000)  4 O 1.53-1.56
O (0.2114, 0.8430, 0.3275)  1 P 1.54
O (0.7114, 0.1570, 0.1725)  1 P 1.54
O (0.7886, 0.1570, 0.6725)  1 P 1.54
O (0.2886, 0.8430, 0.8275)  1 P 1.54
O (0.2175, 0.4855, 0.4870)  1 P 1.54
O (0.7175, 0.5145, 0.0130)  1 P 1.54
O (0.7825, 0.5145, 0.5130)  1 P 1.54
O (0.2825, 0.4855, 0.9870)  1 P 1.54
O (0.6549, 0.5567, 0.2688)  1 P 1.56
O (0.1549, 0.4433, 0.2312)  1 P 1.56
O (0.3451, 0.4433, 0.7312)  1 P 1.56
O (0.8451, 0.5567, 0.7688)  1 P 1.56
O (0.0484, 0.7909, 0.4713)  1 P 1.56
O (0.5484, 0.2091, 0.0287)  1 P 1.56
O (0.9516, 0.2091, 0.5287)  1 P 1.56
O (0.4516, 0.7909, 0.9713)  1 P 1.56
O (0.4341, 0.6223, 0.1978)  1 P 1.55
O (0.9341, 0.3777, 0.3022)  1 P 1.55
O (0.5659, 0.3777, 0.8022)  1 P 1.55
O (0.0659, 0.6223, 0.6978)  1 P 1.55
O (0.4698, 0.3448, 0.3704)  1 P 1.53
O (0.9698, 0.6552, 0.1296)  1 P 1.53
O (0.5302, 0.6552, 0.6296)  1 P 1.53
O (0.0302, 0.3448, 0.8704)  1 P 1.53
O (0.2748, 0.9222, 0.5065)  1 P 1.54
O (0.7748, 0.0778, 0.9935)  1 P 1.54
O (0.7252, 0.0778, 0.4935)  1 P 1.54
O (0.2252, 0.9222, 0.0065)  1 P 1.54
O (0.5085, 0.8161, 0.3517)  1 P 1.54
O (0.0085, 0.1839, 0.1483)  1 P 1.54
O (0.4915, 0.1839, 0.6483)  1 P 1.54
O (0.9915, 0.8161, 0.8517)  1 P 1.54

=====

4.
The following is a DFT calculation (PBE-GGA) of a relaxed BaCaP4O12 crystal.

a = 9.3875 Å, b = 7.3560 Å, c = 16.9731 Å
α = 65.35°, β = 90.00°, γ = 90.00°
Closest atoms and distances in Å follow each position.
Positions (direct):
Ba (0.8919, 0.1468, 0.3670)  8 O 2.69-2.97
Ba (0.3919, 0.8532, 0.1330)  8 O 2.69-2.97
Ba (0.1081, 0.8532, 0.6330)  8 O 2.69-2.97
Ba (0.6081, 0.1468, 0.8670)  8 O 2.69-2.97
Ca (0.7645, 0.6535, 0.8448)  6 O 2.32-2.41
Ca (0.2355, 0.3465, 0.1552)  6 O 2.32-2.41
Ca (0.2645, 0.3465, 0.6552)  6 O 2.32-2.41
Ca (0.7355, 0.6535, 0.3448)  6 O 2.32-2.41
P (0.5195, 0.6939, 0.6727)  4 O 1.50-1.61
P (0.1015, 0.9160, 0.8226)  4 O 1.51-1.61
P (0.9805, 0.6939, 0.1727)  4 O 1.50-1.61
P (0.8985, 0.0840, 0.1774)  4 O 1.51-1.61
P (0.4805, 0.3061, 0.3273)  4 O 1.50-1.61
P (0.3376, 0.6878, 0.9391)  4 O 1.49-1.63
P (0.7482, 0.7201, 0.0434)  4 O 1.50-1.61
P (0.0195, 0.3061, 0.8273)  4 O 1.50-1.61
P (0.3985, 0.9160, 0.3226)  4 O 1.51-1.61
P (0.6624, 0.3122, 0.0609)  4 O 1.49-1.63
P (0.2517, 0.2799, 0.9566)  4 O 1.50-1.61
P (0.8376, 0.3122, 0.5609)  4 O 1.49-1.63
P (0.6015, 0.0840, 0.6774)  4 O 1.51-1.61
P (0.1624, 0.6878, 0.4391)  4 O 1.49-1.63
P (0.2482, 0.2799, 0.4566)  4 O 1.50-1.61
P (0.7518, 0.7201, 0.5434)  4 O 1.50-1.61
O (0.4998, 0.2262, 0.6914)  1 P 1.51
O (0.2254, 0.2174, 0.0519)  1 P 1.51
O (0.9034, 0.6981, 0.0871)  2 P 1.61
O (0.6849, 0.1979, 0.5877)  2 P 1.60-1.63
O (0.3940, 0.4213, 0.2472)  1 P 1.50
O (0.6863, 0.4960, 0.0891)  2 P 1.61-1.63
O (0.1060, 0.4213, 0.7472)  1 P 1.50
O (0.5002, 0.7738, 0.3086)  1 P 1.51
O (0.8137, 0.4960, 0.5891)  2 P 1.61-1.63
O (0.6526, 0.8541, 0.0664)  1 P 1.50
O (0.3137, 0.5040, 0.9109)  2 P 1.61-1.63
O (0.9889, 0.9277, 0.1539)  2 P 1.61
O (0.8684, 0.3678, 0.8320)  1 P 1.50
O (0.6576, 0.3868, 0.9635)  1 P 1.51
O (0.2746, 0.2174, 0.5519)  1 P 1.51
O (0.6060, 0.5787, 0.7528)  1 P 1.50
O (0.7254, 0.7826, 0.4481)  1 P 1.51
O (0.3151, 0.8021, 0.4123)  2 P 1.60-1.63
O (0.1576, 0.6132, 0.5365)  1 P 1.51
O (0.0002, 0.2262, 0.1914)  1 P 1.51
O (0.6316, 0.3678, 0.3320)  1 P 1.50
O (0.8474, 0.8541, 0.5664)  1 P 1.50
O (0.1316, 0.6322, 0.1680)  1 P 1.50
O (0.4577, 0.8095, 0.8857)  1 P 1.49
O (0.2028, 0.0205, 0.7486)  1 P 1.51
O (0.5423, 0.1905, 0.1143)  1 P 1.49
O (0.3424, 0.6132, 0.0365)  1 P 1.51
O (0.4034, 0.3019, 0.4129)  2 P 1.61
O (0.8940, 0.5787, 0.2528)  1 P 1.50
O (0.5966, 0.6981, 0.5871)  2 P 1.61
O (0.2972, 0.0205, 0.2486)  1 P 1.51
O (0.8151, 0.1979, 0.0877)  2 P 1.60-1.63
O (0.7972, 0.9795, 0.2514)  1 P 1.51
O (0.7028, 0.9795, 0.7514)  1 P 1.51
O (0.5111, 0.9277, 0.6539)  2 P 1.61
O (0.0423, 0.8095, 0.3857)  1 P 1.49
O (0.1526, 0.1459, 0.4336)  1 P 1.50
O (0.7746, 0.7826, 0.9481)  1 P 1.51
O (0.4889, 0.0723, 0.3461)  2 P 1.61
O (0.0111, 0.0723, 0.8461)  2 P 1.61
O (0.1849, 0.8021, 0.9123)  2 P 1.60-1.63
O (0.8424, 0.3868, 0.4635)  1 P 1.51
O (0.9998, 0.7738, 0.8086)  1 P 1.51
O (0.0966, 0.3019, 0.9129)  2 P 1.61
O (0.3684, 0.6322, 0.6680)  1 P 1.50
O (0.1863, 0.5040, 0.4109)  2 P 1.61-1.63
O (0.9577, 0.1905, 0.6143)  1 P 1.49
O (0.3474, 0.1459, 0.9336)  1 P 1.50

=====

| no. | total magnetization (Bohr magnetons per cell) | formation energy from the elements (eV/atom) |
| --- | --- | --- |
| 1 | 0.00 | -3.01 |
| 2 | 2.00 | -2.68 |
| 3 | 12.00 | -2.54 |
| 4 | 0.00 | -2.99 |